## A
Entry from Materials Project: a relaxed LiMn3P6O20 crystal (GGA+U).

```
data_LiMn3P6O20
_chemical_formula_sum 'Li4 Mn12 P24 O80'
_cell_length_a 10.210
_cell_length_b 13.336
_cell_length_c 12.013
_cell_angle_alpha 90.00
_cell_angle_beta 90.00
_cell_angle_gamma 90.00
_symmetry_space_group_name_H-M 'C 2 2 21'
_symmetry_Int_Tables_number 20
loop_
_symmetry_equiv_pos_as_xyz
'x,y,z'
'-x,-y,z+1/2'
'x,-y,-z'
'-x,y,-z+1/2'
'x+1/2,y+1/2,z'
'-x+1/2,-y+1/2,z+1/2'
'x+1/2,-y+1/2,-z'
'-x+1/2,y+1/2,-z+1/2'
loop_
_atom_site_label
_atom_site_fract_x
_atom_site_fract_y
_atom_site_fract_z
_atom_site_occupancy
Li1 0.069 0.000 0.000 1
Mn1 0.000 0.206 0.750 1
Mn2 0.000 0.262 0.250 1
Mn3 0.141 0.500 0.500 1
P1 0.056 0.292 0.987 1
P2 0.231 0.363 0.820 1
P3 0.247 0.063 0.777 1
O1 0.028 0.201 0.911 1
O2 0.038 0.376 0.526 1
O3 0.081 0.253 0.105 1
O4 0.124 0.147 0.302 1
O5 0.127 0.104 0.716 1
O6 0.137 0.308 0.743 1
O7 0.141 0.366 0.298 1
O8 0.195 0.481 0.813 1
O9 0.200 0.335 0.947 1
O10 0.207 0.007 0.883 1
```

Results
**Total magnetic moment**: 12.00 μB per formula unit
**Calculated density**: 2.75 Mg/m³

---

## B
Entry from Materials Project: a relaxed LiMn3P6O20 crystal (GGA+U).

```
data_LiMn3P6O20
_chemical_formula_sum 'Li4 Mn12 P24 O80'
_cell_length_a 12.315
_cell_length_b 13.800
_cell_length_c 10.313
_cell_angle_alpha 90.00
_cell_angle_beta 90.00
_cell_angle_gamma 90.00
_symmetry_space_group_name_H-M 'A e a 2'
_symmetry_Int_Tables_number 41
loop_
_symmetry_equiv_pos_as_xyz
'x,y,z'
'-x,-y,z'
'-x+1/2,y+1/2,z'
'x+1/2,-y+1/2,z'
'x,y+1/2,z+1/2'
'-x,-y+1/2,z+1/2'
'-x+1/2,y,z+1/2'
'x+1/2,-y,z+1/2'
loop_
_atom_site_label
_atom_site_fract_x
_atom_site_fract_y
_atom_site_fract_z
_atom_site_occupancy
Li1 0.000 0.000 0.000 1
Mn1 0.000 0.000 0.275 1
Mn2 0.213 0.223 0.442 1
P1 0.054 0.308 0.961 1
P2 0.196 0.365 0.168 1
P3 0.218 0.068 0.184 1
O1 0.059 0.235 0.466 1
O2 0.071 0.394 0.873 1
O3 0.077 0.344 0.110 1
O4 0.111 0.027 0.127 1
O5 0.132 0.223 0.930 1
O6 0.192 0.100 0.322 1
O7 0.194 0.480 0.194 1
O8 0.201 0.317 0.298 1
O9 0.220 0.343 0.566 1
O10 0.225 0.142 0.601 1
```

Results
**Total magnetic moment**: 12.00 μB per formula unit
**Calculated density**: 2.57 Mg/m³

---

A comes first in stability; the runner-up is 16 meV/atom higher.

---

## A
Entry from Materials Project: a relaxed Li3Mn2P4O14 crystal (GGA+U).

```
data_Li3Mn2P4O14
_chemical_formula_sum 'Li12 Mn8 P16 O56'
_cell_length_a 9.841
_cell_length_b 9.852
_cell_length_c 11.388
_cell_angle_alpha 89.73
_cell_angle_beta 76.70
_cell_angle_gamma 89.63
_symmetry_space_group_name_H-M 'P 1'
_symmetry_Int_Tables_number 1
loop_
_symmetry_equiv_pos_as_xyz
'x,y,z'
loop_
_atom_site_label
_atom_site_fract_x
_atom_site_fract_y
_atom_site_fract_z
_atom_site_occupancy
Li1 0.000 0.000 0.000 1
Li2 0.003 0.026 0.488 1
Li3 0.066 0.699 0.988 1
Li4 0.241 0.486 0.929 1
Li5 0.312 0.185 0.914 1
Li6 0.318 0.170 0.416 1
Li7 0.484 0.666 0.499 1
Li8 0.565 0.982 0.984 1
Li9 0.741 0.196 0.928 1
Li10 0.768 0.812 0.508 1
Li11 0.802 0.505 0.916 1
Li12 0.828 0.504 0.409 1
Mn1 0.356 0.667 0.283 1
Mn2 0.395 0.876 0.782 1
Mn3 0.410 0.379 0.135 1
Mn4 0.453 0.168 0.624 1
Mn5 0.855 0.017 0.284 1
Mn6 0.900 0.807 0.781 1
Mn7 0.906 0.308 0.137 1
Mn8 0.952 0.514 0.628 1
P1 0.034 0.739 0.378 1
P2 0.035 0.297 0.850 1
P3 0.090 0.522 0.199 1
P4 0.131 0.046 0.712 1
P5 0.178 0.140 0.203 1
P6 0.215 0.660 0.714 1
P7 0.273 0.884 0.068 1
P8 0.276 0.443 0.533 1
P9 0.531 0.941 0.382 1
P10 0.534 0.384 0.848 1
P11 0.590 0.160 0.198 1
P12 0.628 0.639 0.713 1
P13 0.675 0.545 0.205 1
P14 0.715 0.023 0.714 1
P15 0.770 0.799 0.067 1
P16 0.776 0.241 0.535 1
O1 0.028 0.128 0.174 1
O2 0.032 0.671 0.250 1
O3 0.049 0.953 0.813 1
O4 0.059 0.194 0.737 1
O5 0.070 0.676 0.684 1
O6 0.092 0.526 0.066 1
O7 0.123 0.437 0.523 1
O8 0.131 0.011 0.585 1
O9 0.134 0.866 0.035 1
O10 0.174 0.171 0.332 1
O11 0.175 0.316 0.882 1
O12 0.186 0.743 0.389 1
O13 0.210 0.655 0.848 1
O14 0.236 0.505 0.228 1
O15 0.251 0.994 0.177 1
O16 0.264 0.237 0.106 1
O17 0.276 0.513 0.663 1
O18 0.286 0.060 0.735 1
O19 0.323 0.767 0.652 1
O20 0.332 0.299 0.546 1
O21 0.332 0.761 0.122 1
O22 0.369 0.532 0.437 1
O23 0.377 0.952 0.958 1
O24 0.424 0.440 0.958 1
O25 0.439 0.033 0.475 1
O26 0.473 0.799 0.370 1
O27 0.475 0.260 0.796 1
O28 0.481 0.265 0.262 1
O29 0.520 0.555 0.184 1
O30 0.537 0.012 0.252 1
O31 0.547 0.742 0.803 1
O32 0.551 0.495 0.740 1
O33 0.567 0.011 0.686 1
O34 0.592 0.154 0.065 1
O35 0.621 0.249 0.526 1
O36 0.633 0.824 0.035 1
O37 0.634 0.672 0.582 1
O38 0.675 0.366 0.878 1
O39 0.678 0.511 0.332 1
O40 0.683 0.929 0.396 1
O41 0.717 0.024 0.846 1
O42 0.736 0.179 0.227 1
O43 0.745 0.693 0.180 1
O44 0.758 0.452 0.104 1
O45 0.775 0.170 0.665 1
O46 0.780 0.622 0.738 1
O47 0.815 0.914 0.645 1
O48 0.831 0.384 0.547 1
O49 0.840 0.920 0.114 1
O50 0.866 0.151 0.439 1
O51 0.877 0.727 0.960 1
O52 0.930 0.228 0.957 1
O53 0.933 0.656 0.475 1
O54 0.970 0.423 0.804 1
O55 0.972 0.883 0.373 1
O56 0.982 0.419 0.265 1
```

Results
**Total magnetic moment**: 9.00 μB per formula unit
**Calculated density**: 2.96 Mg/m³

---

## B
Entry from Materials Project: a relaxed Li3Mn2P4O14 crystal (GGA+U).

```
data_Li3Mn2P4O14
_chemical_formula_sum 'Li3 Mn2 P4 O14'
_cell_length_a 5.071
_cell_length_b 7.004
_cell_length_c 8.337
_cell_angle_alpha 89.68
_cell_angle_beta 88.73
_cell_angle_gamma 71.75
_symmetry_space_group_name_H-M 'P 1'
_symmetry_Int_Tables_number 1
loop_
_symmetry_equiv_pos_as_xyz
'x,y,z'
loop_
_atom_site_label
_atom_site_fract_x
_atom_site_fract_y
_atom_site_fract_z
_atom_site_occupancy
Li1 0.000 0.000 0.000 1
Li2 0.108 0.569 0.691 1
Li3 0.657 0.320 0.492 1
Mn1 0.057 0.929 0.347 1
Mn2 0.627 0.390 0.866 1
P1 0.046 0.579 0.073 1
P2 0.225 0.134 0.663 1
P3 0.430 0.184 0.177 1
P4 0.633 0.744 0.554 1
O1 0.032 0.153 0.808 1
O2 0.067 0.137 0.505 1
O3 0.207 0.590 0.915 1
O4 0.219 0.063 0.179 1
O5 0.248 0.419 0.193 1
O6 0.375 0.294 0.657 1
O7 0.456 0.733 0.414 1
O8 0.458 0.917 0.679 1
O9 0.585 0.153 0.016 1
O10 0.619 0.145 0.321 1
O11 0.716 0.549 0.655 1
O12 0.787 0.522 0.047 1
O13 0.911 0.784 0.516 1
O14 0.983 0.781 0.163 1
```

Results
**Total magnetic moment**: 9.00 μB per formula unit
**Piezoelectric modulus e_max**: 1.5 C/m2
**Calculated density**: 2.83 Mg/m³

---

B comes first in stability; the runner-up is 25 meV/atom higher.

---

## A
Entry from Materials Project: a relaxed LiMn4P7O24 crystal (GGA+U).

```
data_LiMn4P7O24
_chemical_formula_sum 'Li2 Mn8 P14 O48'
_cell_length_a 10.390
_cell_length_b 10.612
_cell_length_c 10.798
_cell_angle_alpha 112.37
_cell_angle_beta 108.70
_cell_angle_gamma 105.82
_symmetry_space_group_name_H-M 'P -1'
_symmetry_Int_Tables_number 2
loop_
_symmetry_equiv_pos_as_xyz
'x,y,z'
'-x,-y,-z'
loop_
_atom_site_label
_atom_site_fract_x
_atom_site_fract_y
_atom_site_fract_z
_atom_site_occupancy
Li1 0.018 0.407 0.072 1
Mn1 0.058 0.695 0.571 1
Mn2 0.243 0.850 0.245 1
Mn3 0.391 0.232 0.398 1
Mn4 0.430 0.599 0.916 1
P1 0.005 0.030 0.735 1
P2 0.077 0.340 0.774 1
P3 0.236 0.816 0.929 1
P4 0.271 0.135 0.028 1
P5 0.301 0.494 0.548 1
P6 0.376 0.920 0.610 1
P7 0.497 0.744 0.257 1
O1 0.005 0.661 0.370 1
O2 0.012 0.643 0.135 1
O3 0.019 0.900 0.634 1
O4 0.081 0.176 0.725 1
O5 0.096 0.081 0.913 1
O6 0.100 0.717 0.768 1
O7 0.136 0.481 0.508 1
O8 0.156 0.994 0.292 1
O9 0.162 0.804 0.031 1
O10 0.241 0.459 0.876 1
O11 0.273 0.336 0.429 1
O12 0.275 0.825 0.648 1
O13 0.282 0.178 0.181 1
O14 0.301 0.990 0.965 1
O15 0.306 0.879 0.445 1
O16 0.328 0.713 0.197 1
O17 0.363 0.256 0.009 1
O18 0.369 0.780 0.954 1
O19 0.381 0.521 0.710 1
O20 0.393 0.618 0.530 1
O21 0.405 0.092 0.715 1
O22 0.437 0.252 0.596 1
O23 0.459 0.067 0.332 1
O24 0.491 0.370 0.873 1
```

Results
**Total magnetic moment**: 16.01 μB per formula unit
**Calculated density**: 2.95 Mg/m³

---

## B
Entry from Materials Project: a relaxed LiMn4P7O24 crystal (GGA+U).

```
data_LiMn4P7O24
_chemical_formula_sum 'Li2 Mn8 P14 O48'
_cell_length_a 10.313
_cell_length_b 10.477
_cell_length_c 10.772
_cell_angle_alpha 109.87
_cell_angle_beta 111.33
_cell_angle_gamma 105.64
_symmetry_space_group_name_H-M 'P -1'
_symmetry_Int_Tables_number 2
loop_
_symmetry_equiv_pos_as_xyz
'x,y,z'
'-x,-y,-z'
loop_
_atom_site_label
_atom_site_fract_x
_atom_site_fract_y
_atom_site_fract_z
_atom_site_occupancy
Li1 0.059 0.239 0.161 1
Mn1 0.003 0.897 0.242 1
Mn2 0.009 0.664 0.391 1
Mn3 0.487 0.824 0.914 1
Mn4 0.489 0.618 0.426 1
P1 0.233 0.187 0.613 1
P2 0.237 0.977 0.743 1
P3 0.248 0.547 0.546 1
P4 0.249 0.610 0.976 1
P5 0.273 0.793 0.274 1
P6 0.305 0.063 0.233 1
P7 0.305 0.381 0.065 1
O1 0.104 0.506 0.824 1
O2 0.121 0.998 0.798 1
O3 0.123 0.232 0.670 1
O4 0.128 0.276 0.965 1
O5 0.128 0.984 0.145 1
O6 0.134 0.793 0.296 1
O7 0.139 0.406 0.533 1
O8 0.143 0.065 0.448 1
O9 0.150 0.576 0.418 1
O10 0.164 0.833 0.597 1
O11 0.190 0.669 0.095 1
O12 0.306 0.117 0.717 1
O13 0.329 0.443 0.228 1
O14 0.332 0.686 0.705 1
O15 0.342 0.524 0.032 1
O16 0.357 0.752 0.993 1
O17 0.364 0.072 0.125 1
O18 0.365 0.954 0.293 1
O19 0.368 0.214 0.372 1
O20 0.370 0.513 0.502 1
O21 0.374 0.322 0.655 1
O22 0.379 0.993 0.874 1
O23 0.383 0.759 0.374 1
O24 0.409 0.315 0.037 1
```

Results
**Total magnetic moment**: 16.00 μB per formula unit
**Calculated density**: 3.02 Mg/m³

---

A comes first in stability; the runner-up is 15 meV/atom higher.